Entry 1:
VASP calculation (r²SCAN) on a relaxed BAsO4 crystal.

Results
Density, g cm⁻³: 3.618
V, Å³/atom: 11.454
Final energy, eV per atom: -9.485
Energy of formation from the pure elements, eV per atom: -1.83
Space group: I-4

Cell: 4.4919 4.4919 4.6571 Å, 118.83 118.83 90.00°
With the nearest neighbours (Å) after each atom.
Sites, in units of the cell vectors:
1 As 0.0000 0.0000 0.0000  4 O 1.69
2 O 0.5911 0.0266 0.7350  1 B 1.47
3 B 0.2500 0.7500 0.5000  4 O 1.47
4 O 0.1439 0.7083 0.7350  1 B 1.47
5 O 0.2917 0.4089 0.2650  1 B 1.47
6 O 0.9734 0.8561 0.2650  1 B 1.47

Entry 2:
VASP calculation (r²SCAN) on a relaxed La3Hg crystal.

Results
Density, g cm⁻³: 8.138
V, Å³/atom: 31.490
Final energy, eV per atom: -34.905
Energy of formation from the pure elements, eV per atom: -0.25
Space group: P6_3/mmc
Energy relative to the lowest polymorph listed for this composition, eV/atom: 0.0000

Cell: 7.2423 7.2423 5.5459 Å, 90.00 90.00 120.00°
With the nearest neighbours (Å) after each atom.
Sites, in units of the cell vectors:
1 La 0.3615 0.1808 0.7500  6 La 3.31-3.58, 4 Hg 3.37-3.63
2 La 0.8192 0.6385 0.7500  6 La 3.31-3.58, 4 Hg 3.37-3.63
3 La 0.6385 0.8192 0.2500  6 La 3.31-3.58, 4 Hg 3.37-3.63
4 Hg 0.6667 0.3333 0.2500  12 La 3.37-3.63
5 La 0.1808 0.8192 0.2500  6 La 3.31-3.58, 4 Hg 3.37-3.63
6 La 0.1808 0.3615 0.2500  6 La 3.31-3.58, 4 Hg 3.37-3.63
7 La 0.8192 0.1808 0.7500  6 La 3.31-3.58, 4 Hg 3.37-3.63
8 Hg 0.3333 0.6667 0.7500  12 La 3.37-3.63

Entry 3:
VASP calculation (r²SCAN) on a relaxed CdPd3 crystal.

Results
Density, g cm⁻³: 11.181
V, Å³/atom: 16.028
Final energy, eV per atom: -22.504
Energy of formation from the pure elements, eV per atom: -0.26
Space group: P6_3/mmc

Cell: 5.6607 5.6607 4.6204 Å, 90.00 90.00 120.00°
With the nearest neighbours (Å) after each atom.
Sites, in units of the cell vectors:
1 Cd 0.6667 0.3333 0.2500  12 Pd 2.83-2.84
2 Pd 0.1649 0.3299 0.2500  8 Pd 2.80-2.86, 4 Cd 2.83-2.84
3 Pd 0.1649 0.8351 0.2500  8 Pd 2.80-2.86, 4 Cd 2.83-2.84
4 Pd 0.3299 0.1649 0.7500  8 Pd 2.80-2.86, 4 Cd 2.83-2.84
5 Pd 0.8351 0.6701 0.7500  8 Pd 2.80-2.86, 4 Cd 2.83-2.84
6 Pd 0.8351 0.1649 0.7500  8 Pd 2.80-2.86, 4 Cd 2.83-2.84
7 Pd 0.6701 0.8351 0.2500  8 Pd 2.80-2.86, 4 Cd 2.83-2.84
8 Cd 0.3333 0.6667 0.7500  12 Pd 2.83-2.84

Entry 4:
VASP calculation (r²SCAN) on a relaxed YbBO3 crystal.

Results
Density, g cm⁻³: 6.662
V, Å³/atom: 11.558
Final energy, eV per atom: -15.749
Energy of formation from the pure elements, eV per atom: -3.39
Space group: P2_1/m

Cell: 4.5481 4.5423 7.9871 Å, 90.00 90.00 135.54°
With the nearest neighbours (Å) after each atom.
Sites, in units of the cell vectors:
1 O 0.3890 0.6615 0.6002  1 B 1.38
2 O 0.9086 0.1465 0.2500  1 B 1.36
3 O 0.3890 0.6615 0.8998  1 B 1.38
4 B 0.7442 0.3062 0.2500  3 O 1.36-1.38
5 O 0.1424 0.9042 0.7500  1 B 1.36
6 O 0.6605 0.3878 0.1002  1 B 1.38
7 B 0.3059 0.7436 0.7500  3 O 1.36-1.38
8 O 0.6605 0.3878 0.3998  1 B 1.38
9 Yb 0.0249 0.0249 0.0000  6 O 2.22-2.23
10 Yb 0.0249 0.0249 0.5000  6 O 2.22-2.23

Entry 5:
VASP calculation (r²SCAN) on a relaxed CsCr5Se8 crystal.

Results
Density, g cm⁻³: 5.418
V, Å³/atom: 22.430
Final energy, eV per atom: -16.313
Energy of formation from the pure elements, eV per atom: -0.96
Space group: C2/m

Cell: 3.6935 9.2312 9.6990 Å, 104.42 100.98 90.00°
With the nearest neighbours (Å) after each atom.
Sites, in units of the cell vectors:
1 Cr 0.7047 0.3345 0.4095  6 Se 2.50-2.65
2 Se 0.4240 0.8479 0.8487  4 Cr 2.51-2.60
3 Se 0.1721 0.4887 0.3440  3 Cr 2.50-2.51
4 Se 0.7606 0.8420 0.5218  5 Cr 2.58-2.66
5 Cs 0.5000 0.5000 0.0000  10 Se 3.63-3.84, 2 Cs 3.69
6 Cr 0.3399 0.0183 0.6804  6 Se 2.48-2.66
7 Se 0.2395 0.1580 0.4782  5 Cr 2.57-2.66
8 Cr 0.2953 0.6655 0.5905  6 Se 2.50-2.65
9 Se 0.0888 0.8349 0.1763  3 Cr 2.48-2.54
10 Se 0.9112 0.1651 0.8237  3 Cr 2.48-2.54
11 Cr 0.6601 0.9817 0.3195  6 Se 2.48-2.66
12 Se 0.8279 0.5113 0.6560  3 Cr 2.50-2.51
13 Cr 0.0000 0.0000 0.0000  6 Se 2.54
14 Se 0.5760 0.1521 0.1513  4 Cr 2.51-2.60

Entry 6:
VASP calculation (r²SCAN) on a relaxed SmC6 crystal.

Results
Density, g cm⁻³: 4.915
V, Å³/atom: 10.735
Final energy, eV per atom: -12.836
Energy of formation from the pure elements, eV per atom: -0.06
Space group: P6/mmm

Cell: 4.3131 4.3131 4.6641 Å, 90.00 90.00 120.00°
With the nearest neighbours (Å) after each atom.
Sites, in units of the cell vectors:
1 C 0.3329 0.3329 0.5000  3 C 1.44
2 C 0.6671 0.6671 0.5000  3 C 1.44
3 C 0.3329 0.0000 0.5000  3 C 1.44
4 C 0.6671 0.0000 0.5000  3 C 1.44
5 Sm 0.0000 0.0000 0.0000  12 C 2.74
6 C 0.0000 0.6671 0.5000  3 C 1.44
7 C 0.0000 0.3329 0.5000  3 C 1.44